Record 1
The following is a DFT calculation (r²SCAN) of a relaxed structure of Zr6CoCl15.

Cell lengths 8.892, 8.892, 8.892 Å; angles 109.47, 109.47, 109.47 degrees
Element x y z (fractional)
Zr (0.000, 0.239, 0.239)
Zr (0.000, 0.761, 0.761)
Zr (0.239, 0.000, 0.239)
Zr (0.239, 0.239, 0.000)
Zr (0.761, 0.000, 0.761)
Zr (0.761, 0.761, 0.000)
Co (0.000, 0.000, 0.000)
Cl (0.000, 0.248, 0.752)
Cl (0.000, 0.500, 0.500)
Cl (0.000, 0.752, 0.248)
Cl (0.248, 0.000, 0.752)
Cl (0.248, 0.248, 0.495)
Cl (0.248, 0.495, 0.248)
Cl (0.248, 0.752, 0.000)
Cl (0.495, 0.248, 0.248)
Cl (0.500, 0.000, 0.500)
Cl (0.500, 0.500, 0.000)
Cl (0.505, 0.752, 0.752)
Cl (0.752, 0.000, 0.248)
Cl (0.752, 0.248, 0.000)
Cl (0.752, 0.505, 0.752)
Cl (0.752, 0.752, 0.505)

Output
The value obtained for the energy relative to the elements is -1.913 eV per atom. The value obtained for the final energy is -284.10 eV for the cell shown. The space group is Im-3m (229).



Record 2
The following is a DFT calculation (r²SCAN) of a relaxed structure of CrCl3.

Cell lengths 6.894, 6.894, 6.894 Å; angles 51.56, 51.56, 51.56 degrees
Element x y z (fractional)
Cr (0.167, 0.167, 0.167)
Cr (0.833, 0.833, 0.833)
Cl (0.069, 0.781, 0.426)
Cl (0.219, 0.574, 0.931)
Cl (0.426, 0.069, 0.781)
Cl (0.574, 0.931, 0.219)
Cl (0.781, 0.426, 0.069)
Cl (0.931, 0.219, 0.574)

Output
The value obtained for the energy relative to the elements is -1.426 eV per atom. The value obtained for the final energy is -78.47 eV for the cell shown. The space group is R-3 (148).



Record 3
The following is a DFT calculation (r²SCAN) of a relaxed structure of CrCl3.

Cell lengths 5.993, 5.993, 19.458 Å; angles 90.00, 90.00, 120.00 degrees
Element x y z (fractional)
Cr (0.222, 0.111, 0.000)
Cr (0.222, 0.444, 0.333)
Cr (0.222, 0.778, 0.667)
Cr (0.556, 0.778, 0.000)
Cr (0.889, 0.111, 0.667)
Cr (0.889, 0.778, 0.333)
Cl (0.199, 0.088, 0.598)
Cl (0.199, 0.111, 0.402)
Cl (0.199, 0.444, 0.735)
Cl (0.199, 0.755, 0.265)
Cl (0.245, 0.444, 0.931)
Cl (0.245, 0.801, 0.069)
Cl (0.533, 0.088, 0.931)
Cl (0.533, 0.444, 0.069)
Cl (0.556, 0.088, 0.735)
Cl (0.556, 0.467, 0.265)
Cl (0.556, 0.755, 0.402)
Cl (0.556, 0.801, 0.598)
Cl (0.889, 0.088, 0.069)
Cl (0.889, 0.801, 0.931)
Cl (0.912, 0.111, 0.265)
Cl (0.912, 0.444, 0.598)
Cl (0.912, 0.467, 0.402)
Cl (0.912, 0.801, 0.735)

Output
The value obtained for the energy relative to the elements is -1.419 eV per atom. The value obtained for the final energy is -235.23 eV for the cell shown. The space group is P3_212 (153).



Record 4
The following is a DFT calculation (r²SCAN) of a relaxed structure of CrCl3.

Cell lengths 5.996, 5.996, 6.290 Å; angles 98.59, 98.71, 119.95 degrees
Element x y z (fractional)
Cr (0.167, 0.333, 0.000)
Cr (0.833, 0.667, 0.000)
Cl (0.074, 0.930, 0.778)
Cl (0.214, 0.713, 0.223)
Cl (0.430, 0.574, 0.778)
Cl (0.570, 0.426, 0.222)
Cl (0.786, 0.287, 0.777)
Cl (0.926, 0.070, 0.222)

Output
The value obtained for the energy relative to the elements is -1.425 eV per atom. The value obtained for the final energy is -78.46 eV for the cell shown. The space group is P-1 (2).



Record 5
The following is a DFT calculation (r²SCAN) of a relaxed structure of Cs2CrCl4.

Cell lengths 9.153, 9.153, 9.153 Å; angles 147.60, 147.60, 46.48 degrees
Element x y z (fractional)
Cs (0.143, 0.143, 0.000)
Cs (0.857, 0.857, 0.000)
Cr (0.500, 0.500, 0.000)
Cl (0.000, 0.500, 0.500)
Cl (0.354, 0.354, 0.000)
Cl (0.500, 0.000, 0.500)
Cl (0.646, 0.646, 0.000)

Output
The value obtained for the energy relative to the elements is -1.873 eV per atom. The value obtained for the final energy is -103.01 eV for the cell shown. The space group is I4/mmm (139).



Record 6
The following is a DFT calculation (r²SCAN) of a relaxed structure of CsCrCl3.

Cell lengths 7.291, 7.291, 6.260 Å; angles 91.49, 91.49, 59.68 degrees
Element x y z (fractional)
Cs (0.167, 0.167, 0.249)
Cs (0.833, 0.833, 0.751)
Cr (0.500, 0.500, 0.000)
Cr (0.500, 0.500, 0.500)
Cl (0.191, 0.656, 0.268)
Cl (0.340, 0.340, 0.791)
Cl (0.344, 0.809, 0.732)
Cl (0.656, 0.191, 0.268)
Cl (0.660, 0.660, 0.209)
Cl (0.809, 0.344, 0.732)

Output
The value obtained for the energy relative to the elements is -1.722 eV per atom. The value obtained for the final energy is -134.50 eV for the cell shown. The space group is C2/m (12).